VASP calculation (PBE) on Cs2NaPrI6 after structural relaxation.

Total moment = 0.00 μB per formula unit
Density = 4.0 g cm⁻³
Space group = Fm-3m, No. 225
Uncorrected energy = -0.1163 Ha/atom
Formation energy = -1.69 eV/atom

Structure (POSCAR):
```
Cs2NaPrI6
1.0
-4.022 -7.088 3.574
-5.130 0.959 7.208
-8.827 -0.915 -0.667
Cs Na Pr I
2 1 1 6
direct
0.750 0.750 0.750
0.250 0.250 0.250
0.500 0.500 0.500
0.000 0.000 0.000
0.751 0.249 0.249
0.249 0.249 0.751
0.249 0.751 0.751
0.249 0.751 0.249
0.751 0.249 0.751
0.751 0.751 0.249
```